# 1
Computed, not measured: a geometry-optimized MgTa2CoO7 structure at the GGA+U level of DFT.

Energy, eV/f.u.: -91.710
Size of the total moment, μB/f.u.: 3.0
ΔH_f (0 K), meV per atom: -2827

Lattice parameters (Å, degrees): 6.8970 14.7729 12.2465 90.00 101.11 90.00
With the nearest neighbours (Å) after each atom.
Space group P2_1/c (No. 14)
Asymmetric unit:
Mg (0.0179, 0.0140, 0.2336) (multiplicity 4)  5 O 2.07-2.18
Mg (0.2757, 0.1225, 0.9070) (multiplicity 4)  5 O 2.04-2.23
Ta (0.1320, 0.1503, 0.4934) (multiplicity 4)  4 O 1.81-1.91
Ta (0.1980, 0.5933, 0.5250) (multiplicity 4)  4 O 1.80-1.92
Ta (0.4377, 0.5211, 0.1809) (multiplicity 4)  5 O 1.87-2.06
Ta (0.4897, 0.7290, 0.1999) (multiplicity 4)  5 O 1.85-2.06
Co (0.0226, 0.7262, 0.2814) (multiplicity 4)  5 O 2.00-2.18
Co (0.3244, 0.6399, 0.9131) (multiplicity 4)  4 O 1.95-2.01
O (0.0057, 0.1225, 0.3468) (multiplicity 4)  1 Ta 1.88
O (0.0257, 0.5933, 0.6262) (multiplicity 4)  1 Ta 1.87, 2 Mg 2.07-2.08
O (0.0520, 0.6753, 0.9149) (multiplicity 4)  1 Ta 1.89, 1 Co 1.95
O (0.0547, 0.6178, 0.3810) (multiplicity 4)  1 Ta 1.88, 1 Co 2.00, 1 Mg 2.07
O (0.2570, 0.2242, 0.7639) (multiplicity 4)  1 Ta 1.85, 1 Co 2.04
O (0.2624, 0.2439, 0.9908) (multiplicity 4)  1 Ta 1.81
O (0.2748, 0.0294, 0.7707) (multiplicity 4)  1 Ta 1.87
O (0.2959, 0.0194, 0.0198) (multiplicity 4)  1 Ta 1.80
O (0.3013, 0.0519, 0.5493) (multiplicity 4)  2 Ta 1.91-2.01
O (0.3114, 0.5320, 0.8123) (multiplicity 4)  1 Ta 1.89, 1 Co 2.01
O (0.3113, 0.7283, 0.7872) (multiplicity 4)  1 Ta 1.89, 2 Co 2.01-2.09
O (0.4070, 0.6332, 0.0794) (multiplicity 4)  1 Co 2.01, 2 Ta 2.04-2.06
O (0.4162, 0.6721, 0.5806) (multiplicity 4)  2 Ta 1.92-2.06
O (0.4641, 0.1180, 0.2165) (multiplicity 4)  2 Ta 1.93-1.94

# 2
Computed, not measured: a geometry-optimized MgCo3TeO8 structure at the GGA+U level of DFT.

Offset from the most stable computed form, eV/atom: 0.126
Energy, eV/f.u.: -73.611
Size of the total moment, μB/f.u.: 11.0
ΔH_f (0 K), meV per atom: -1413

Lattice parameters (Å, degrees): 10.4482 5.8741 6.0732 90.00 125.38 90.00
With the nearest neighbours (Å) after each atom.
Space group C2/m (No. 12)
Asymmetric unit:
Mg (0.0000, 0.0000, 0.0000) (multiplicity 2)  6 O 2.24-2.25
Co (0.0000, 0.5000, 0.0000) (multiplicity 2)  6 O 2.05-2.09
Co (0.2500, 0.2500, 0.0000) (multiplicity 4)  6 O 1.90-2.08
Te (0.0000, 0.5000, 0.5000) (multiplicity 2)  6 O 1.99-2.01
O (0.0065, 0.2684, 0.7453) (multiplicity 8)  1 Te 1.99, 2 Co 2.08-2.09
O (0.2359, 0.5000, 0.7462) (multiplicity 4)  1 Te 2.01, 2 Co 2.07, 1 Mg 2.25
O (0.2373, 0.5000, 0.1850) (multiplicity 4)  3 Co 1.90-2.05

# 3
Computed, not measured: a geometry-optimized Mg4Co5Te3O18 structure at the GGA+U level of DFT.

Energy, eV/f.u.: -177.192
Size of the total moment, μB/f.u.: 3.0
ΔH_f (0 K), meV per atom: -1910

Lattice parameters (Å, degrees): 15.0327 8.9240 10.4954 90.00 94.77 90.00
With the nearest neighbours (Å) after each atom.
Space group C2/c (No. 15)
Asymmetric unit:
Mg (0.0229, 0.1554, 0.0413) (multiplicity 8)  5 O 1.96-2.18
Mg (0.2032, 0.3630, 0.9257) (multiplicity 8)  4 O 1.96-1.99
Co (0.0000, 0.3167, 0.7500) (multiplicity 4)  6 O 2.06-2.18
Co (0.1408, 0.3471, 0.2698) (multiplicity 8)  4 O 1.97-2.10
Co (0.1669, 0.2057, 0.5566) (multiplicity 8)  4 O 2.00-2.14
Te (0.0000, 0.5000, 0.0000) (multiplicity 4)  6 O 1.93-1.98
Te (0.1611, 0.0055, 0.8024) (multiplicity 8)  6 O 1.94-2.01
O (0.0692, 0.4933, 0.6636) (multiplicity 8)  1 Te 1.93, 2 Co 2.06-2.13
O (0.0733, 0.3351, 0.4373) (multiplicity 8)  1 Te 1.98, 2 Co 2.10-2.14, 1 Mg 2.18
O (0.0726, 0.3374, 0.9377) (multiplicity 8)  1 Te 1.96, 2 Mg 1.99-2.12, 1 Co 2.18
O (0.0775, 0.0062, 0.4344) (multiplicity 8)  1 Te 1.95, 2 Mg 2.04-2.05
O (0.0953, 0.1639, 0.7048) (multiplicity 8)  1 Te 1.96, 2 Co 2.00-2.06
O (0.1047, 0.1512, 0.1968) (multiplicity 8)  1 Te 1.94, 1 Mg 1.96, 1 Co 1.97
O (0.2246, 0.1626, 0.3898) (multiplicity 8)  1 Te 1.96, 2 Co 2.05
O (0.2364, 0.1505, 0.8991) (multiplicity 8)  1 Te 1.95, 2 Mg 1.99
O (0.2492, 0.4711, 0.3282) (multiplicity 8)  1 Mg 1.96, 1 Te 2.01, 1 Co 2.02

# 4
Computed, not measured: a geometry-optimized MgCo3TeO8 structure at the GGA+U level of DFT.

Offset from the most stable computed form, eV/atom: 0.033
Energy, eV/f.u.: -74.809
Size of the total moment, μB/f.u.: 9.0
ΔH_f (0 K), meV per atom: -1505

Lattice parameters (Å, degrees): 5.7840 5.8745 6.0442 93.03 117.79 116.77
With the nearest neighbours (Å) after each atom.
Space group P-1 (No. 2)
Asymmetric unit:
Mg (0.0000, 0.0000, 0.0000) (multiplicity 1)  6 O 2.14-2.21
Co (0.0000, 0.0000, 0.5000) (multiplicity 1)  6 O 2.08-2.14
Co (0.0000, 0.5000, 0.5000) (multiplicity 1)  2 O 1.93
Co (0.5000, 0.5000, 0.5000) (multiplicity 1)  4 O 1.90-1.94
Te (0.5000, 0.5000, 0.0000) (multiplicity 1)  6 O 1.96
O (0.0458, 0.2694, 0.7773) (multiplicity 2)  1 Te 1.96, 1 Co 2.08, 1 Mg 2.14
O (0.0592, 0.2841, 0.3056) (multiplicity 2)  3 Co 1.90-2.09
O (0.4895, 0.2843, 0.7324) (multiplicity 2)  2 Co 1.94-2.14, 1 Te 1.96
O (0.4959, 0.7379, 0.7842) (multiplicity 2)  1 Te 1.96, 2 Co 2.16-2.17, 1 Mg 2.18